[1]
{"formula": "AlRe", "functional": "meta-GGA r2SCAN", "state": "relaxed", "lattice": [[3.0853, 0.0000, 0.0000], [0.0000, 3.0853, 0.0000], [0.0000, 0.0000, 5.9393]], "species": ["Al", "Al", "Re", "Re"], "frac_coords": [[0.2500, 0.2500, 0.1278], [0.7500, 0.7500, 0.8722], [0.2500, 0.2500, 0.6348], [0.7500, 0.7500, 0.3652]], "e_form_ev_per_atom": -0.38, "energy_ev_per_cell": -119.81, "magmom_total_mub_per_fu": 0.00}

[2]
{"formula": "Al6Re", "functional": "meta-GGA r2SCAN", "state": "relaxed", "lattice": [[3.7858, -3.2823, 0.0000], [3.7858, 3.2823, 0.0000], [0.0000, 0.0000, 9.0043]], "species": ["Al", "Al", "Al", "Al", "Al", "Al", "Al", "Al", "Al", "Al", "Al", "Al", "Re", "Re"], "frac_coords": [[0.0274, 0.6114, 0.2500], [0.1324, 0.8676, 0.6003], [0.1324, 0.8676, 0.8997], [0.3246, 0.3246, 0.0000], [0.3246, 0.3246, 0.5000], [0.3886, 0.9726, 0.2500], [0.6114, 0.0274, 0.7500], [0.6754, 0.6754, 0.0000], [0.6754, 0.6754, 0.5000], [0.8676, 0.1324, 0.1003], [0.8676, 0.1324, 0.3997], [0.9726, 0.3886, 0.7500], [0.4568, 0.5432, 0.7500], [0.5432, 0.4568, 0.2500]], "e_form_ev_per_atom": -0.23, "energy_ev_per_cell": -188.83, "magmom_total_mub_per_fu": 0.00}